{"formula": "Ca3SiH30CSO25", "functional": "PBE", "state": "optimized geometry", "mass_density_kg_m3": 1853, "total_energy_ev_per_atom": -5.515, "space_group": "P6_3, No. 173", "lattice_angstrom": [[11.070, 0.000, 0.000], [-5.535, 9.587, 0.000], [0.000, 0.000, 10.516]], "species": ["Ca", "Ca", "Ca", "Ca", "Ca", "Ca", "Si", "Si", "H", "H", "H", "H", "H", "H", "H", "H", "H", "H", "H", "H", "H", "H", "H", "H", "H", "H", "H", "H", "H", "H", "H", "H", "H", "H", "H", "H", "H", "H", "H", "H", "H", "H", "H", "H", "H", "H", "H", "H", "H", "H", "H", "H", "H", "H", "H", "H", "H", "H", "H", "H", "H", "H", "H", "H", "H", "H", "H", "H", "C", "C", "S", "S", "O", "O", "O", "O", "O", "O", "O", "O", "O", "O", "O", "O", "O", "O", "O", "O", "O", "O", "O", "O", "O", "O", "O", "O", "O", "O", "O", "O", "O", "O", "O", "O", "O", "O", "O", "O", "O", "O", "O", "O", "O", "O", "O", "O", "O", "O", "O", "O", "O", "O"], "fractional_positions": [[0.013, 0.207, 0.000], [0.194, 0.987, 0.000], [0.207, 0.194, 0.500], [0.793, 0.806, 0.000], [0.806, 0.013, 0.500], [0.987, 0.793, 0.500], [0.000, 0.000, 0.250], [0.000, 0.000, 0.750], [0.018, 0.214, 0.692], [0.023, 0.216, 0.306], [0.061, 0.653, 0.706], [0.062, 0.362, 0.503], [0.076, 0.441, 0.806], [0.085, 0.663, 0.293], [0.100, 0.450, 0.191], [0.159, 0.695, 0.926], [0.160, 0.695, 0.076], [0.193, 0.977, 0.306], [0.196, 0.982, 0.692], [0.214, 0.196, 0.192], [0.215, 0.490, 0.527], [0.216, 0.193, 0.806], [0.274, 0.785, 0.527], [0.300, 0.938, 0.503], [0.305, 0.464, 0.926], [0.305, 0.466, 0.076], [0.337, 0.422, 0.293], [0.347, 0.408, 0.706], [0.350, 0.900, 0.191], [0.362, 0.300, 0.003], [0.366, 0.924, 0.806], [0.408, 0.061, 0.206], [0.422, 0.085, 0.793], [0.441, 0.366, 0.306], [0.450, 0.350, 0.691], [0.464, 0.159, 0.426], [0.466, 0.160, 0.576], [0.490, 0.274, 0.027], [0.510, 0.726, 0.527], [0.534, 0.840, 0.076], [0.536, 0.841, 0.926], [0.550, 0.650, 0.191], [0.559, 0.634, 0.806], [0.578, 0.915, 0.293], [0.592, 0.939, 0.706], [0.634, 0.076, 0.306], [0.638, 0.700, 0.503], [0.650, 0.100, 0.691], [0.653, 0.592, 0.206], [0.663, 0.578, 0.793], [0.695, 0.534, 0.576], [0.695, 0.536, 0.426], [0.700, 0.062, 0.003], [0.726, 0.215, 0.027], [0.784, 0.807, 0.306], [0.785, 0.510, 0.027], [0.786, 0.804, 0.692], [0.804, 0.018, 0.192], [0.807, 0.023, 0.806], [0.840, 0.305, 0.576], [0.841, 0.305, 0.426], [0.900, 0.550, 0.691], [0.915, 0.337, 0.793], [0.924, 0.559, 0.306], [0.938, 0.638, 0.003], [0.939, 0.347, 0.206], [0.977, 0.784, 0.806], [0.982, 0.786, 0.192], [0.333, 0.667, 0.201], [0.667, 0.333, 0.701], [0.333, 0.667, 0.736], [0.667, 0.333, 0.236], [0.004, 0.342, 0.818], [0.008, 0.133, 0.354], [0.008, 0.133, 0.645], [0.026, 0.348, 0.182], [0.125, 0.992, 0.354], [0.125, 0.992, 0.645], [0.132, 0.730, 0.001], [0.133, 0.125, 0.145], [0.133, 0.125, 0.854], [0.162, 0.391, 0.502], [0.190, 0.624, 0.784], [0.200, 0.621, 0.200], [0.229, 0.838, 0.502], [0.270, 0.402, 0.001], [0.323, 0.974, 0.182], [0.333, 0.667, 0.594], [0.338, 0.996, 0.818], [0.342, 0.338, 0.318], [0.348, 0.323, 0.682], [0.376, 0.567, 0.784], [0.379, 0.579, 0.200], [0.391, 0.229, 0.002], [0.402, 0.132, 0.501], [0.421, 0.800, 0.200], [0.433, 0.810, 0.784], [0.567, 0.190, 0.284], [0.579, 0.200, 0.700], [0.598, 0.868, 0.001], [0.609, 0.771, 0.502], [0.621, 0.421, 0.700], [0.624, 0.433, 0.284], [0.652, 0.677, 0.182], [0.658, 0.662, 0.818], [0.662, 0.004, 0.318], [0.667, 0.333, 0.094], [0.677, 0.026, 0.682], [0.730, 0.598, 0.501], [0.771, 0.162, 0.002], [0.800, 0.379, 0.700], [0.810, 0.376, 0.284], [0.838, 0.609, 0.002], [0.867, 0.875, 0.354], [0.867, 0.875, 0.645], [0.868, 0.270, 0.501], [0.875, 0.008, 0.145], [0.875, 0.008, 0.854], [0.974, 0.652, 0.682], [0.992, 0.867, 0.145], [0.992, 0.867, 0.854], [0.996, 0.658, 0.318]]}

***

{"formula": "SrH6C2O6", "functional": "PBE", "state": "optimized geometry", "mass_density_kg_m3": 1983, "total_energy_ev_per_atom": -5.594, "space_group": "P2_12_12_1, No. 19", "relative_energy_mev_per_atom": 397, "lattice_angstrom": [[7.547, 0.000, 0.000], [0.000, 8.137, 0.000], [0.000, 0.000, 11.658]], "species": ["Sr", "Sr", "Sr", "Sr", "H", "H", "H", "H", "H", "H", "H", "H", "H", "H", "H", "H", "H", "H", "H", "H", "H", "H", "H", "H", "H", "H", "H", "H", "C", "C", "C", "C", "C", "C", "C", "C", "O", "O", "O", "O", "O", "O", "O", "O", "O", "O", "O", "O", "O", "O", "O", "O", "O", "O", "O", "O", "O", "O", "O", "O"], "fractional_positions": [[0.036, 0.235, 0.462], [0.464, 0.765, 0.962], [0.536, 0.265, 0.538], [0.964, 0.735, 0.038], [0.002, 0.121, 0.007], [0.069, 0.865, 0.771], [0.128, 0.103, 0.811], [0.140, 0.857, 0.726], [0.214, 0.351, 0.830], [0.225, 0.183, 0.039], [0.275, 0.817, 0.539], [0.286, 0.649, 0.330], [0.360, 0.143, 0.226], [0.372, 0.897, 0.311], [0.431, 0.135, 0.271], [0.498, 0.879, 0.507], [0.502, 0.379, 0.993], [0.569, 0.635, 0.229], [0.628, 0.397, 0.189], [0.640, 0.643, 0.274], [0.714, 0.149, 0.170], [0.725, 0.317, 0.961], [0.775, 0.683, 0.461], [0.786, 0.851, 0.670], [0.860, 0.357, 0.774], [0.872, 0.603, 0.689], [0.931, 0.365, 0.729], [0.998, 0.621, 0.493], [0.144, 0.104, 0.983], [0.176, 0.449, 0.247], [0.324, 0.551, 0.747], [0.356, 0.896, 0.483], [0.644, 0.396, 0.017], [0.676, 0.051, 0.753], [0.824, 0.949, 0.253], [0.856, 0.604, 0.517], [0.098, 0.315, 0.258], [0.166, 0.183, 0.868], [0.182, 0.509, 0.139], [0.194, 0.944, 0.982], [0.238, 0.327, 0.626], [0.248, 0.477, 0.834], [0.252, 0.523, 0.334], [0.262, 0.673, 0.126], [0.306, 0.056, 0.482], [0.318, 0.491, 0.639], [0.334, 0.817, 0.368], [0.402, 0.685, 0.758], [0.598, 0.185, 0.742], [0.666, 0.317, 0.132], [0.682, 0.991, 0.861], [0.694, 0.556, 0.018], [0.738, 0.173, 0.374], [0.748, 0.023, 0.166], [0.752, 0.977, 0.666], [0.762, 0.827, 0.874], [0.806, 0.444, 0.518], [0.818, 0.009, 0.361], [0.834, 0.683, 0.632], [0.902, 0.815, 0.242]]}

***

{"formula": "Fe2Mo4C", "functional": "PBE", "state": "optimized geometry", "mass_density_kg_m3": 9255, "total_energy_ev_per_atom": -9.954, "space_group": "Fd-3m, No. 227", "lattice_angstrom": [[0.000, 5.668, 5.668], [5.668, 0.000, 5.668], [5.668, 5.668, 0.000]], "species": ["Fe", "Fe", "Fe", "Fe", "Fe", "Fe", "Fe", "Fe", "Mo", "Mo", "Mo", "Mo", "Mo", "Mo", "Mo", "Mo", "Mo", "Mo", "Mo", "Mo", "Mo", "Mo", "Mo", "Mo", "C", "C", "C", "C"], "fractional_positions": [[0.119, 0.794, 0.794], [0.206, 0.206, 0.206], [0.206, 0.206, 0.881], [0.206, 0.881, 0.206], [0.794, 0.119, 0.794], [0.794, 0.794, 0.119], [0.794, 0.794, 0.794], [0.881, 0.206, 0.206], [0.000, 0.000, 0.000], [0.000, 0.000, 0.500], [0.000, 0.500, 0.000], [0.186, 0.186, 0.564], [0.186, 0.564, 0.186], [0.186, 0.564, 0.564], [0.436, 0.436, 0.814], [0.436, 0.814, 0.436], [0.436, 0.814, 0.814], [0.500, 0.000, 0.000], [0.564, 0.186, 0.186], [0.564, 0.186, 0.564], [0.564, 0.564, 0.186], [0.814, 0.436, 0.436], [0.814, 0.436, 0.814], [0.814, 0.814, 0.436], [0.000, 0.500, 0.500], [0.500, 0.000, 0.500], [0.500, 0.500, 0.000], [0.500, 0.500, 0.500]]}

***

{"formula": "Pr10US16", "functional": "PBE", "state": "optimized geometry", "mass_density_kg_m3": 5602, "total_energy_ev_per_atom": -6.607, "space_group": "P-4, No. 81", "lattice_angstrom": [[8.637, 0.000, 0.000], [0.000, 8.637, 0.000], [0.000, 0.000, 8.584]], "species": ["Pr", "Pr", "Pr", "Pr", "Pr", "Pr", "Pr", "Pr", "Pr", "Pr", "U", "S", "S", "S", "S", "S", "S", "S", "S", "S", "S", "S", "S", "S", "S", "S", "S"], "fractional_positions": [[0.000, 0.500, 0.249], [0.124, 0.244, 0.861], [0.244, 0.633, 0.621], [0.244, 0.876, 0.139], [0.367, 0.244, 0.379], [0.500, 0.000, 0.751], [0.633, 0.756, 0.379], [0.756, 0.124, 0.139], [0.756, 0.367, 0.621], [0.876, 0.756, 0.861], [0.500, 0.500, 0.000], [0.078, 0.182, 0.185], [0.080, 0.334, 0.543], [0.181, 0.568, 0.948], [0.182, 0.922, 0.815], [0.328, 0.574, 0.296], [0.334, 0.920, 0.457], [0.426, 0.328, 0.704], [0.432, 0.181, 0.052], [0.568, 0.819, 0.052], [0.574, 0.672, 0.704], [0.666, 0.080, 0.457], [0.672, 0.426, 0.296], [0.818, 0.078, 0.815], [0.819, 0.432, 0.948], [0.920, 0.666, 0.543], [0.922, 0.818, 0.185]]}

***

{"formula": "Mg6TiBi", "functional": "PBE", "state": "optimized geometry", "mass_density_kg_m3": 3663, "total_energy_ev_per_atom": -2.623, "relative_energy_mev_per_atom": 7, "lattice_angstrom": [[-0.100, 5.083, -1.630], [-4.981, 0.996, 3.412], [6.487, 2.894, 8.625]], "species": ["Mg", "Mg", "Mg", "Mg", "Mg", "Mg", "Mg", "Mg", "Mg", "Mg", "Mg", "Mg", "Ti", "Ti", "Bi", "Bi"], "fractional_positions": [[0.500, 0.248, 0.417], [0.500, 0.752, 0.417], [0.000, 0.760, 0.082], [0.000, 0.240, 0.082], [0.000, 0.000, 0.330], [0.000, 0.500, 0.338], [0.500, 0.748, 0.917], [0.500, 0.252, 0.917], [0.000, 0.260, 0.582], [0.000, 0.740, 0.582], [0.000, 0.500, 0.830], [0.000, 0.000, 0.838], [0.500, 0.000, 0.167], [0.500, 0.500, 0.667], [0.500, 0.500, 0.168], [0.500, 0.000, 0.668]]}

***

{"formula": "Fe3Si", "functional": "PBE", "state": "optimized geometry", "mass_density_kg_m3": 7389, "total_energy_ev_per_atom": -8.031, "space_group": "Fm-3m, No. 225", "lattice_angstrom": [[0.000, 2.801, 2.801], [2.801, 0.000, 2.801], [2.801, 2.801, 0.000]], "species": ["Fe", "Fe", "Fe", "Si"], "fractional_positions": [[0.000, 0.000, 0.000], [0.250, 0.250, 0.250], [0.750, 0.750, 0.750], [0.500, 0.500, 0.500]]}

***

{"formula": "BaNaLaSeO6", "functional": "PBE", "state": "optimized geometry", "mass_density_kg_m3": 5376, "total_energy_ev_per_atom": -6.115, "space_group": "F-43m, No. 216", "lattice_angstrom": [[0.000, 4.184, 4.184], [4.184, 0.000, 4.184], [4.184, 4.184, 0.000]], "species": ["Ba", "Na", "La", "Se", "O", "O", "O", "O", "O", "O"], "fractional_positions": [[0.000, 0.000, 0.000], [0.500, 0.500, 0.500], [0.250, 0.250, 0.250], [0.750, 0.750, 0.750], [0.530, 0.530, 0.970], [0.530, 0.970, 0.530], [0.530, 0.970, 0.970], [0.970, 0.530, 0.530], [0.970, 0.530, 0.970], [0.970, 0.970, 0.530]]}

***

{"formula": "YCo4B4", "functional": "PBE", "state": "optimized geometry", "mass_density_kg_m3": 7005, "total_energy_ev_per_atom": -7.344, "space_group": "P4_2/nmc, No. 137", "lattice_angstrom": [[4.999, 0.000, 0.000], [0.000, 4.999, 0.000], [0.000, 0.000, 6.980]], "species": ["Y", "Y", "Co", "Co", "Co", "Co", "Co", "Co", "Co", "Co", "B", "B", "B", "B", "B", "B", "B", "B"], "fractional_positions": [[0.250, 0.750, 0.250], [0.750, 0.250, 0.750], [0.004, 0.750, 0.612], [0.250, 0.504, 0.888], [0.250, 0.996, 0.888], [0.496, 0.750, 0.612], [0.504, 0.250, 0.388], [0.750, 0.004, 0.112], [0.750, 0.496, 0.112], [0.996, 0.250, 0.388], [0.075, 0.250, 0.092], [0.250, 0.075, 0.592], [0.250, 0.425, 0.592], [0.425, 0.250, 0.092], [0.575, 0.750, 0.908], [0.750, 0.575, 0.408], [0.750, 0.925, 0.408], [0.925, 0.750, 0.908]]}

***

{"formula": "CrN2", "functional": "PBE", "state": "optimized geometry", "mass_density_kg_m3": 1843, "total_energy_ev_per_atom": -8.648, "space_group": "Fd-3m, No. 227", "lattice_angstrom": [[0.000, 10.701, 10.701], [10.701, 0.000, 10.701], [10.701, 10.701, 0.000]], "species": ["Cr", "Cr", "Cr", "Cr", "Cr", "Cr", "Cr", "Cr", "Cr", "Cr", "Cr", "Cr", "Cr", "Cr", "Cr", "Cr", "Cr", "Cr", "Cr", "Cr", "Cr", "Cr", "Cr", "Cr", "Cr", "Cr", "Cr", "Cr", "Cr", "Cr", "Cr", "Cr", "Cr", "Cr", "N", "N", "N", "N", "N", "N", "N", "N", "N", "N", "N", "N", "N", "N", "N", "N", "N", "N", "N", "N", "N", "N", "N", "N", "N", "N", "N", "N", "N", "N", "N", "N", "N", "N", "N", "N", "N", "N", "N", "N", "N", "N", "N", "N", "N", "N", "N", "N", "N", "N", "N", "N", "N", "N", "N", "N", "N", "N", "N", "N", "N", "N", "N", "N", "N", "N", "N", "N"], "fractional_positions": [[0.006, 0.235, 0.629], [0.006, 0.629, 0.235], [0.006, 0.629, 0.629], [0.125, 0.125, 0.125], [0.152, 0.783, 0.783], [0.217, 0.217, 0.217], [0.217, 0.217, 0.848], [0.217, 0.848, 0.217], [0.235, 0.006, 0.629], [0.235, 0.629, 0.006], [0.235, 0.629, 0.629], [0.371, 0.371, 0.765], [0.371, 0.371, 0.994], [0.371, 0.765, 0.371], [0.371, 0.765, 0.994], [0.371, 0.994, 0.371], [0.371, 0.994, 0.765], [0.629, 0.006, 0.235], [0.629, 0.006, 0.629], [0.629, 0.235, 0.006], [0.629, 0.235, 0.629], [0.629, 0.629, 0.006], [0.629, 0.629, 0.235], [0.765, 0.371, 0.371], [0.765, 0.371, 0.994], [0.765, 0.994, 0.371], [0.783, 0.152, 0.783], [0.783, 0.783, 0.152], [0.783, 0.783, 0.783], [0.848, 0.217, 0.217], [0.875, 0.875, 0.875], [0.994, 0.371, 0.371], [0.994, 0.371, 0.765], [0.994, 0.765, 0.371], [0.000, 0.310, 0.500], [0.000, 0.310, 0.690], [0.000, 0.500, 0.310], [0.000, 0.500, 0.690], [0.000, 0.690, 0.310], [0.000, 0.690, 0.500], [0.014, 0.829, 0.829], [0.106, 0.294, 0.294], [0.106, 0.294, 0.805], [0.106, 0.805, 0.294], [0.122, 0.122, 0.628], [0.122, 0.628, 0.122], [0.122, 0.628, 0.628], [0.171, 0.171, 0.171], [0.171, 0.171, 0.986], [0.171, 0.986, 0.171], [0.195, 0.706, 0.706], [0.195, 0.706, 0.894], [0.195, 0.894, 0.706], [0.294, 0.106, 0.294], [0.294, 0.106, 0.805], [0.294, 0.294, 0.106], [0.294, 0.294, 0.805], [0.294, 0.805, 0.106], [0.294, 0.805, 0.294], [0.310, 0.000, 0.500], [0.310, 0.000, 0.690], [0.310, 0.500, 0.000], [0.310, 0.500, 0.690], [0.310, 0.690, 0.000], [0.310, 0.690, 0.500], [0.372, 0.372, 0.878], [0.372, 0.878, 0.372], [0.372, 0.878, 0.878], [0.500, 0.000, 0.310], [0.500, 0.000, 0.690], [0.500, 0.310, 0.000], [0.500, 0.310, 0.690], [0.500, 0.690, 0.000], [0.500, 0.690, 0.310], [0.628, 0.122, 0.122], [0.628, 0.122, 0.628], [0.628, 0.628, 0.122], [0.690, 0.000, 0.310], [0.690, 0.000, 0.500], [0.690, 0.310, 0.000], [0.690, 0.310, 0.500], [0.690, 0.500, 0.000], [0.690, 0.500, 0.310], [0.706, 0.195, 0.706], [0.706, 0.195, 0.894], [0.706, 0.706, 0.195], [0.706, 0.706, 0.894], [0.706, 0.894, 0.195], [0.706, 0.894, 0.706], [0.805, 0.106, 0.294], [0.805, 0.294, 0.106], [0.805, 0.294, 0.294], [0.829, 0.014, 0.829], [0.829, 0.829, 0.014], [0.829, 0.829, 0.829], [0.878, 0.372, 0.372], [0.878, 0.372, 0.878], [0.878, 0.878, 0.372], [0.894, 0.195, 0.706], [0.894, 0.706, 0.195], [0.894, 0.706, 0.706], [0.986, 0.171, 0.171]]}

***

Sequential E_form output: -103.32, -17.84, -0.13, -61.14, 0.40, -1.22, -23.91, -4.48, -0.34 eV per formula unit